Record 1
# Fe2CoAs2H10O14 | the Materials Project | PBE with a Hubbard U | optimized geometry
data_Fe2CoAs2H10O14
_symmetry_space_group_name_H-M 'P 1 21/c 1'
_symmetry_Int_Tables_number 14
_symmetry_space_group_name_Hall '-P 2ybc'
_cell_length_a 10.742
_cell_length_b 9.438
_cell_length_c 5.726
_cell_angle_alpha 90.00
_cell_angle_beta 90.20
_cell_angle_gamma 90.00
loop_
_atom_site_label
_atom_site_fract_x
_atom_site_fract_y
_atom_site_fract_z
Fe1 0.046 0.138 0.145
Co1 0.500 0.000 0.500
As1 0.216 0.073 0.680
H1 0.087 0.658 0.992
H2 0.249 0.551 0.828
H3 0.385 0.556 0.565
H4 0.402 0.194 0.271
H5 0.436 0.696 0.690
O1 0.029 0.722 0.073
O2 0.096 0.015 0.866
O3 0.171 0.506 0.900
O4 0.205 0.247 0.157
O5 0.353 0.002 0.756
O6 0.384 0.603 0.720
O7 0.468 0.188 0.388
# E above lowest polymorph in meV per atom: 234
# ΔE_f in eV per atom: -1.200

---

Record 2
# Sr2FeCuPb2O6 | the Materials Project | PBE with a Hubbard U | optimized geometry
data_Sr2FeCuPb2O6
_symmetry_space_group_name_H-M 'P 1 2/m 1'
_symmetry_Int_Tables_number 10
_symmetry_space_group_name_Hall '-P 2y'
_cell_length_a 3.978
_cell_length_b 3.923
_cell_length_c 12.273
_cell_angle_alpha 90.00
_cell_angle_beta 91.57
_cell_angle_gamma 90.00
loop_
_atom_site_label
_atom_site_fract_x
_atom_site_fract_y
_atom_site_fract_z
Sr1 0.017 0.000 0.143
Fe1 0.500 0.500 0.000
Cu1 0.000 0.000 0.500
Pb1 0.498 0.500 0.643
O1 0.000 0.500 0.000
O2 0.123 0.000 0.356
O3 0.482 0.500 0.821
O4 0.500 0.000 0.000
# E above lowest polymorph in meV per atom: 5
# ΔE_f in eV per atom: -1.987

---

Record 3
# FeCo3P4O16 | the Materials Project | PBE with a Hubbard U | optimized geometry
data_FeCo3P4O16
_symmetry_space_group_name_H-M 'P 1 m 1'
_symmetry_Int_Tables_number 6
_symmetry_space_group_name_Hall 'P -2y'
_cell_length_a 4.839
_cell_length_b 5.907
_cell_length_c 9.825
_cell_angle_alpha 90.00
_cell_angle_beta 90.44
_cell_angle_gamma 90.00
loop_
_atom_site_label
_atom_site_fract_x
_atom_site_fract_y
_atom_site_fract_z
Fe1 0.000 0.000 0.000
Co1 0.074 0.500 0.547
Co2 0.473 0.500 0.062
Co3 0.575 0.000 0.507
P1 0.139 0.000 0.677
P2 0.463 0.000 0.183
P3 0.633 0.500 0.373
P4 0.953 0.500 0.877
O1 0.196 0.000 0.830
O2 0.270 0.500 0.897
O3 0.284 0.204 0.605
O4 0.310 0.202 0.107
O5 0.318 0.500 0.396
O6 0.389 0.000 0.335
O7 0.696 0.500 0.220
O8 0.772 0.000 0.162
O9 0.783 0.296 0.444
O10 0.807 0.295 0.947
O11 0.822 0.000 0.653
O12 0.901 0.500 0.721
# Maximum piezoelectric response in C/m2: 0.74
# ΔE_f in eV per atom: -2.110

---

Record 4
# LiFe2OF5 | the Materials Project | PBE with a Hubbard U | optimized geometry
data_LiFe2OF5
_symmetry_space_group_name_H-M 'P 1 c 1'
_symmetry_Int_Tables_number 7
_symmetry_space_group_name_Hall 'P -2yc'
_cell_length_a 5.348
_cell_length_b 4.854
_cell_length_c 15.214
_cell_angle_alpha 90.00
_cell_angle_beta 90.69
_cell_angle_gamma 90.00
loop_
_atom_site_label
_atom_site_fract_x
_atom_site_fract_y
_atom_site_fract_z
Li1 0.000 0.243 0.000
Li2 0.686 0.255 0.148
Fe1 0.152 0.268 0.325
Fe2 0.174 0.284 0.670
Fe3 0.488 0.227 0.487
Fe4 0.663 0.229 0.822
O1 0.419 0.026 0.379
O2 0.964 0.418 0.772
F1 0.037 0.076 0.213
F2 0.205 0.473 0.437
F3 0.221 0.039 0.558
F4 0.437 0.469 0.266
F5 0.442 0.476 0.596
F6 0.516 0.065 0.711
F7 0.694 0.472 0.930
F8 0.719 0.013 0.044
F9 0.910 0.024 0.382
F10 0.950 0.498 0.599
# E above lowest polymorph in meV per atom: 68
# ΔE_f in eV per atom: -2.499